(1)
## Ti4P3 (meta-GGA r2SCAN)

Data for a geometry-optimized Ti4P3 structure.

The total DFT energy (no corrections) is -349.151 eV for the cell shown.

It has space group I-43d (No. 220), with a = 7.415 Å, b = 7.415 Å, c = 7.415 Å, α = 90.00°, β = 90.00° and γ = 90.00°. The distinct sites, in fractional coordinates, are Ti at (0.068, 0.068, 0.068) and P at (0.000, 0.250, 0.375).

***

(2)
## Ti2P (meta-GGA r2SCAN)

Data for a geometry-optimized Ti2P structure.

The total DFT energy (no corrections) is -114.788 eV for the cell shown.

It has space group P-62m (No. 189), with a = 6.6050 Å, b = 6.6050 Å, c = 3.5064 Å, α = 90.00°, β = 90.00° and γ = 120.00°. The distinct sites, in fractional coordinates, are Ti at (0.0000, 0.2540, 0.0000), Ti at (0.0000, 0.5916, 0.5000), P at (0.0000, 0.0000, 0.5000) and P at (0.3333, 0.6667, 0.0000).

***

Q: Which formula does entry 2 have?
A: Ti2P